[1]
A plane-wave DFT calculation with PBE was carried out for Tm2Ni17 after structural relaxation.

Results
* E_form: -0.210 eV per atom

Unit cell a=8.2369 b=8.2369 c=7.9816 alpha=90.00 beta=90.00 gamma=120.00
With the nearest neighbours (Å) after each atom.
Fractional positions:
Tm  0.0000  0.0000  0.2500  18 Ni 2.89-3.21
Tm  0.0000  0.0000  0.7500  18 Ni 2.89-3.21
Tm  0.3333  0.6667  0.7500  20 Ni 2.80-3.10
Tm  0.6667  0.3333  0.2500  20 Ni 2.80-3.10
Ni  0.3333  0.6667  0.1011  7 Ni 2.38-2.59
Ni  0.6667  0.3333  0.6011  7 Ni 2.38-2.59
Ni  0.6667  0.3333  0.8989  7 Ni 2.38-2.59
Ni  0.3333  0.6667  0.3989  7 Ni 2.38-2.59
Ni  0.5000  0.0000  0.0000  10 Ni 2.37-2.51
Ni  0.5000  0.5000  0.5000  10 Ni 2.37-2.51
Ni  0.0000  0.5000  0.5000  10 Ni 2.37-2.51
Ni  0.0000  0.5000  0.0000  10 Ni 2.37-2.51
Ni  0.5000  0.5000  0.0000  10 Ni 2.37-2.51
Ni  0.5000  0.0000  0.5000  10 Ni 2.37-2.51
Ni  0.3275  0.9580  0.2500  8 Ni 2.35-2.50
Ni  0.3695  0.3275  0.7500  8 Ni 2.35-2.50
Ni  0.9580  0.6305  0.7500  8 Ni 2.35-2.50
Ni  0.0420  0.3695  0.2500  8 Ni 2.35-2.50
Ni  0.6305  0.6725  0.2500  8 Ni 2.35-2.50
Ni  0.3695  0.0420  0.7500  8 Ni 2.35-2.50
Ni  0.6725  0.6305  0.7500  8 Ni 2.35-2.50
Ni  0.6725  0.0420  0.7500  8 Ni 2.35-2.50
Ni  0.9580  0.3275  0.7500  8 Ni 2.35-2.50
Ni  0.0420  0.6725  0.2500  8 Ni 2.35-2.50
Ni  0.6305  0.9580  0.2500  8 Ni 2.35-2.50
Ni  0.3275  0.3695  0.2500  8 Ni 2.35-2.50
Ni  0.1653  0.3306  0.9781  9 Ni 2.38-2.59
Ni  0.8347  0.1653  0.4781  9 Ni 2.38-2.59
Ni  0.3306  0.1653  0.4781  9 Ni 2.38-2.59
Ni  0.6694  0.8347  0.9781  9 Ni 2.38-2.59
Ni  0.1653  0.8347  0.9781  9 Ni 2.38-2.59
Ni  0.8347  0.6694  0.0219  9 Ni 2.38-2.59
Ni  0.8347  0.1653  0.0219  9 Ni 2.38-2.59
Ni  0.8347  0.6694  0.4781  9 Ni 2.38-2.59
Ni  0.3306  0.1653  0.0219  9 Ni 2.38-2.59
Ni  0.6694  0.8347  0.5219  9 Ni 2.38-2.59
Ni  0.1653  0.3306  0.5219  9 Ni 2.38-2.59
Ni  0.1653  0.8347  0.5219  9 Ni 2.38-2.59



[2]
A plane-wave DFT calculation with PBE was carried out for Na5Zr2F13 after structural relaxation.

Results
* E_form: -3.574 eV per atom

Unit cell a=6.5183 b=6.5183 c=8.5729 alpha=83.43 beta=83.43 gamma=50.73
With the nearest neighbours (Å) after each atom.
Fractional positions:
Na  0.6630  0.6630  0.0708  6 F 2.33-2.40
Na  0.2224  0.2224  0.3462  8 F 2.42-2.54
Na  0.5000  0.5000  0.5000  4 F 2.33
Na  0.7776  0.7776  0.6538  8 F 2.42-2.54
Na  0.3370  0.3370  0.9292  6 F 2.33-2.40
Zr  0.0732  0.0732  0.7562  7 F 2.08-2.16
Zr  0.9268  0.9268  0.2438  7 F 2.08-2.16
F  0.0555  0.5809  0.1435  1 Zr 2.10, 1 Na 2.34
F  0.8233  0.2998  0.2489  1 Zr 2.08
F  0.5809  0.0555  0.1435  1 Zr 2.10, 1 Na 2.34
F  0.3590  0.9074  0.5703  1 Zr 2.08, 1 Na 2.33
F  0.1767  0.7002  0.7511  1 Zr 2.08
F  0.9445  0.4191  0.8565  1 Zr 2.10, 1 Na 2.34
F  0.4191  0.9445  0.8565  1 Zr 2.10, 1 Na 2.34
F  0.9074  0.3590  0.5703  1 Zr 2.08, 1 Na 2.33
F  0.0926  0.6410  0.4297  1 Zr 2.08, 1 Na 2.33
F  0.6410  0.0926  0.4297  1 Zr 2.08, 1 Na 2.33
F  0.2998  0.8233  0.2489  1 Zr 2.08
F  0.7002  0.1767  0.7511  1 Zr 2.08
F  0.0000  0.0000  0.0000  2 Zr 2.16



[3]
A plane-wave DFT calculation with PBE was carried out for Mg14CdC after structural relaxation.

Results
* E_form: 0.260 eV per atom

Unit cell a=6.2568 b=6.2568 c=9.9793 alpha=90.00 beta=90.00 gamma=120.00
With the nearest neighbours (Å) after each atom.
Fractional positions:
Mg  0.1694  0.8347  0.1250  10 Mg 3.07-3.22, 2 Cd 3.13
Mg  0.1604  0.8302  0.6250  10 Mg 2.99-3.19, 2 C 3.13
Mg  0.6653  0.3306  0.1250  10 Mg 3.07-3.22, 2 Cd 3.13
Mg  0.6698  0.3396  0.6250  10 Mg 2.99-3.19, 2 C 3.13
Mg  0.6653  0.8347  0.1250  10 Mg 3.07-3.22, 2 Cd 3.13
Mg  0.6698  0.8302  0.6250  10 Mg 2.99-3.19, 2 C 3.13
Mg  0.3267  0.1733  0.3898  1 C 2.92, 10 Mg 2.99-3.25, 1 Cd 3.16
Mg  0.3267  0.1733  0.8602  1 C 2.92, 10 Mg 2.99-3.25, 1 Cd 3.16
Mg  0.3267  0.6534  0.3898  1 C 2.92, 10 Mg 2.99-3.25, 1 Cd 3.16
Mg  0.3267  0.6534  0.8602  1 C 2.92, 10 Mg 2.99-3.25, 1 Cd 3.16
Mg  0.8466  0.1733  0.3898  1 C 2.92, 10 Mg 2.99-3.25, 1 Cd 3.16
Mg  0.8466  0.1733  0.8602  1 C 2.92, 10 Mg 2.99-3.25, 1 Cd 3.16
Mg  0.8333  0.6667  0.3725  12 Mg 3.07-3.13
Mg  0.8333  0.6667  0.8775  12 Mg 3.07-3.13
Cd  0.1667  0.3333  0.1250  12 Mg 3.13-3.16
C  0.1667  0.3333  0.6250  12 Mg 2.92-3.13



[4]
A plane-wave DFT calculation with PBE was carried out for VIr after structural relaxation.

Results
* E_form: -0.518 eV per atom

Unit cell a=6.6367 b=6.6367 c=11.1008 alpha=90.00 beta=90.00 gamma=114.34
With the nearest neighbours (Å) after each atom.
Fractional positions:
V  0.6419  0.3581  0.8663  3 V 2.58-2.78, 8 Ir 2.62-2.73
V  0.3581  0.6419  0.1337  3 V 2.58-2.78, 8 Ir 2.62-2.73
V  0.6419  0.3581  0.6337  3 V 2.58-2.78, 8 Ir 2.62-2.73
V  0.3581  0.6419  0.3663  3 V 2.58-2.78, 8 Ir 2.62-2.73
V  0.3682  0.6318  0.8831  8 Ir 2.57-2.66, 1 V 2.78
V  0.6318  0.3682  0.1169  8 Ir 2.57-2.66, 1 V 2.78
V  0.3682  0.6318  0.6169  8 Ir 2.57-2.66, 1 V 2.78
V  0.6318  0.3682  0.3831  8 Ir 2.57-2.66, 1 V 2.78
V  0.8769  0.1231  0.8681  4 V 2.55-2.77, 8 Ir 2.69-2.79
V  0.1231  0.8769  0.1319  4 V 2.55-2.77, 8 Ir 2.69-2.79
V  0.8769  0.1231  0.6319  4 V 2.55-2.77, 8 Ir 2.69-2.79
V  0.1231  0.8769  0.3681  4 V 2.55-2.77, 8 Ir 2.69-2.79
V  0.1052  0.8948  0.8833  2 V 2.55-2.77, 8 Ir 2.61-2.74
V  0.8948  0.1052  0.1167  2 V 2.55-2.77, 8 Ir 2.61-2.74
V  0.1052  0.8948  0.6167  2 V 2.55-2.77, 8 Ir 2.61-2.74
V  0.8948  0.1052  0.3833  2 V 2.55-2.77, 8 Ir 2.61-2.74
Ir  0.5000  0.0000  0.0000  8 V 2.58-2.74, 4 Ir 2.78-2.79
Ir  0.0000  0.5000  0.0000  8 V 2.58-2.74, 4 Ir 2.78-2.79
Ir  0.5000  0.0000  0.5000  8 V 2.58-2.74, 4 Ir 2.78-2.79
Ir  0.0000  0.5000  0.5000  8 V 2.58-2.74, 4 Ir 2.78-2.79
Ir  0.7309  0.7309  0.0000  8 V 2.57-2.79, 4 Ir 2.78-2.79
Ir  0.7309  0.7309  0.5000  8 V 2.57-2.79, 4 Ir 2.78-2.79
Ir  0.2691  0.2691  0.0000  8 V 2.57-2.79, 4 Ir 2.78-2.79
Ir  0.2691  0.2691  0.5000  8 V 2.57-2.79, 4 Ir 2.78-2.79
Ir  0.4731  0.9812  0.7500  8 V 2.59-2.78, 4 Ir 2.78-2.81
Ir  0.9812  0.4731  0.2500  8 V 2.59-2.78, 4 Ir 2.78-2.81
Ir  0.5269  0.0188  0.2500  8 V 2.59-2.78, 4 Ir 2.78-2.81
Ir  0.0188  0.5269  0.7500  8 V 2.59-2.78, 4 Ir 2.78-2.81
Ir  0.7298  0.7342  0.7500  8 V 2.65-2.71, 4 Ir 2.78-2.81
Ir  0.7342  0.7298  0.2500  8 V 2.65-2.71, 4 Ir 2.78-2.81
Ir  0.2702  0.2658  0.2500  8 V 2.65-2.71, 4 Ir 2.78-2.81
Ir  0.2658  0.2702  0.7500  8 V 2.65-2.71, 4 Ir 2.78-2.81